First-principles (PBE+U) data for CoSeO4 after structural relaxation, as listed in Materials Project.

corrected total energy (MP2020 scheme): -6.297 eV per atom
symmetry: Cmcm (63)
formation energy from the elements: -7.39 eV/f.u.

a = 4.975 Å, b = 4.975 Å, c = 6.686 Å
α = 90.00°, β = 90.00°, γ = 112.69°
Atoms (fractional coordinates):
Co: 0.000 0.000 0.000
Co: 0.000 0.000 0.500
Se: 0.349 0.651 0.750
Se: 0.651 0.349 0.250
O: 0.220 0.280 0.750
O: 0.241 0.759 0.540
O: 0.241 0.759 0.960
O: 0.280 0.220 0.250
O: 0.720 0.780 0.750
O: 0.759 0.241 0.040
O: 0.759 0.241 0.460
O: 0.780 0.720 0.250